(1)
# HoAlB14 | the Materials Project | GGA-PBE | optimized geometry
# Calculated total energy: -6.5278 eV per atom
# Magnetic moment: 0.0 Bohr magnetons per cell
data_HoAlB14
_chemical_formula_sum 'Ho2 Al2 B28'
_symmetry_space_group_name_H-M 'P 1'
_symmetry_Int_Tables_number 1
_cell_length_a 7.290
_cell_length_b 7.290
_cell_length_c 7.290
_cell_angle_alpha 132.19
_cell_angle_beta 88.09
_cell_angle_gamma 111.20
loop_
_symmetry_equiv_pos_as_xyz
'x,y,z'
loop_
_atom_site_label
_atom_site_fract_x
_atom_site_fract_y
_atom_site_fract_z
_atom_site_occupancy
Ho1 0.400 0.150 0.250 1
Ho2 0.600 0.850 0.750 1
Al1 0.000 0.000 0.500 1
Al2 0.000 0.500 0.000 1
B1 0.016 0.874 0.143 1
B2 0.032 0.204 0.332 1
B3 0.032 0.700 0.827 1
B4 0.077 0.667 0.410 1
B5 0.202 0.534 0.667 1
B6 0.223 0.500 0.398 1
B7 0.223 0.825 0.724 1
B8 0.231 0.874 0.357 1
B9 0.243 0.333 0.910 1
B10 0.367 0.534 0.833 1
B11 0.372 0.204 0.673 1
B12 0.372 0.700 0.168 1
B13 0.399 0.175 0.898 1
B14 0.399 0.500 0.224 1
B15 0.601 0.500 0.776 1
B16 0.601 0.825 0.102 1
B17 0.628 0.300 0.832 1
B18 0.628 0.796 0.327 1
B19 0.633 0.466 0.167 1
B20 0.757 0.667 0.090 1
B21 0.769 0.126 0.643 1
B22 0.777 0.175 0.276 1
B23 0.777 0.500 0.602 1
B24 0.798 0.466 0.333 1
B25 0.923 0.333 0.590 1
B26 0.968 0.300 0.173 1
B27 0.968 0.796 0.668 1
B28 0.984 0.126 0.857 1

***

(2)
# AlInB | the Materials Project | GGA-PBE | optimized geometry
# Calculated total energy: -3.3376 eV per atom
# Magnetic moment: 0.0 Bohr magnetons per cell
data_AlInB
_chemical_formula_sum 'Al4 In4 B4'
_symmetry_space_group_name_H-M 'P 1'
_symmetry_Int_Tables_number 1
_cell_length_a 6.027
_cell_length_b 6.027
_cell_length_c 6.027
_cell_angle_alpha 90.00
_cell_angle_beta 90.00
_cell_angle_gamma 90.00
loop_
_symmetry_equiv_pos_as_xyz
'x,y,z'
loop_
_atom_site_label
_atom_site_fract_x
_atom_site_fract_y
_atom_site_fract_z
_atom_site_occupancy
Al1 0.000 0.000 0.000 1
Al2 0.000 0.500 0.500 1
Al3 0.500 0.000 0.500 1
Al4 0.500 0.500 0.000 1
In1 0.250 0.250 0.250 1
In2 0.250 0.750 0.750 1
In3 0.750 0.250 0.750 1
In4 0.750 0.750 0.250 1
B1 0.250 0.250 0.750 1
B2 0.250 0.750 0.250 1
B3 0.750 0.250 0.250 1
B4 0.750 0.750 0.750 1

***

(3)
# Sc2AlB2Ir5 | the Materials Project | GGA-PBE | optimized geometry
# Calculated total energy: -8.3253 eV per atom
# Magnetic moment: 0.0 Bohr magnetons per cell
data_Sc2AlB2Ir5
_chemical_formula_sum 'Sc4 Al2 B4 Ir10'
_symmetry_space_group_name_H-M 'P 1'
_symmetry_Int_Tables_number 1
_cell_length_a 9.450
_cell_length_b 9.450
_cell_length_c 3.026
_cell_angle_alpha 90.00
_cell_angle_beta 90.00
_cell_angle_gamma 90.00
loop_
_symmetry_equiv_pos_as_xyz
'x,y,z'
loop_
_atom_site_label
_atom_site_fract_x
_atom_site_fract_y
_atom_site_fract_z
_atom_site_occupancy
Sc1 0.176 0.324 0.000 1
Sc2 0.324 0.824 0.000 1
Sc3 0.676 0.176 0.000 1
Sc4 0.824 0.676 0.000 1
Al1 0.000 0.000 0.000 1
Al2 0.500 0.500 0.000 1
B1 0.125 0.625 0.000 1
B2 0.375 0.125 0.000 1
B3 0.625 0.875 0.000 1
B4 0.875 0.375 0.000 1
Ir1 0.000 0.500 0.500 1
Ir2 0.070 0.785 0.500 1
Ir3 0.215 0.070 0.500 1
Ir4 0.285 0.570 0.500 1
Ir5 0.430 0.285 0.500 1
Ir6 0.500 0.000 0.500 1
Ir7 0.570 0.715 0.500 1
Ir8 0.715 0.430 0.500 1
Ir9 0.785 0.930 0.500 1
Ir10 0.930 0.215 0.500 1

***

(4)
# K2Al2B2O7 | the Materials Project | GGA-PBE | optimized geometry
# Calculated total energy: -7.0629 eV per atom
# Magnetic moment: 0.0 Bohr magnetons per cell
data_K2Al2B2O7
_chemical_formula_sum 'K6 Al6 B6 O21'
_symmetry_space_group_name_H-M 'P 1'
_symmetry_Int_Tables_number 1
_cell_length_a 8.667
_cell_length_b 8.667
_cell_length_c 8.580
_cell_angle_alpha 90.08
_cell_angle_beta 90.08
_cell_angle_gamma 59.99
loop_
_symmetry_equiv_pos_as_xyz
'x,y,z'
loop_
_atom_site_label
_atom_site_fract_x
_atom_site_fract_y
_atom_site_fract_z
_atom_site_occupancy
K1 0.000 0.000 0.000 1
K2 0.280 0.362 0.000 1
K3 0.329 0.361 0.502 1
K4 0.638 0.720 0.000 1
K5 0.639 0.671 0.498 1
K6 0.947 0.053 0.500 1
Al1 0.306 0.027 0.283 1
Al2 0.306 0.028 0.686 1
Al3 0.634 0.366 0.201 1
Al4 0.634 0.366 0.799 1
Al5 0.972 0.694 0.314 1
Al6 0.973 0.694 0.717 1
B1 0.303 0.695 0.753 1
B2 0.305 0.697 0.247 1
B3 0.638 0.029 0.242 1
B4 0.641 0.027 0.757 1
B5 0.971 0.362 0.758 1
B6 0.973 0.359 0.243 1
O1 0.036 0.478 0.245 1
O2 0.091 0.181 0.211 1
O3 0.124 0.759 0.244 1
O4 0.152 0.244 0.755 1
O5 0.188 0.633 0.788 1
O6 0.241 0.876 0.756 1
O7 0.305 0.027 0.484 1
O8 0.367 0.812 0.212 1
O9 0.425 0.521 0.285 1
O10 0.460 0.089 0.211 1
O11 0.479 0.575 0.715 1
O12 0.522 0.964 0.755 1
O13 0.583 0.204 0.727 1
O14 0.620 0.380 0.000 1
O15 0.695 0.149 0.269 1
O16 0.756 0.848 0.245 1
O17 0.796 0.417 0.273 1
O18 0.819 0.909 0.789 1
O19 0.851 0.305 0.731 1
O20 0.911 0.540 0.789 1
O21 0.973 0.695 0.516 1